Li2Ni2H24C6N12O15 PBE with a Hubbard U relaxed; V = 554.91 Å³/cell; calculated total energy = -364.4 eV for the cell shown; DFT formation energy = -0.87 eV per atom; crystal system = triclinic
1.0
-0.0064 -4.9744 -0.0126
-9.6418 -0.0115 0.3660
-0.0205 -0.0267 -11.5690
N H C O Li Ni
12 24 6 15 2 2
Direct
0.9998 0.8497 0.5708
0.8702 0.8748 0.4653
0.3699 0.1284 0.5350
0.2215 0.5643 0.3113
0.9012 0.5362 0.6438
0.8327 0.9131 0.8727
0.9252 0.7825 0.8300
0.3262 0.0925 0.1264
0.3996 0.4638 0.3543
0.4276 0.2191 0.1724
0.7350 0.4381 0.6966
0.4963 0.1509 0.4279
0.0843 0.5402 0.6851
0.8723 0.9376 0.9581
0.8003 0.3367 0.6962
0.5999 0.4927 0.0428
0.3701 0.0673 0.0417
0.8847 0.7097 0.8901
0.3830 0.4550 0.9455
0.9136 0.3209 0.9508
0.2915 0.8218 0.0904
0.2970 0.6627 0.3048
0.6305 0.2107 0.1863
0.1827 0.8013 0.5538
0.3959 0.2981 0.1160
0.4099 0.6726 0.0640
0.4635 0.0705 0.5953
0.9662 0.9299 0.4033
0.9349 0.5030 0.5597
0.5763 0.4617 0.3072
0.1297 0.7848 0.8176
0.6803 0.1981 0.4423
0.7825 0.1795 0.9084
0.0364 0.9430 0.6135
0.4465 0.4935 0.4378
0.5306 0.0570 0.3853
0.1346 0.1964 0.5638
0.5085 0.4830 0.7537
0.1111 0.0313 0.1785
0.6154 0.9727 0.8207
0.0069 0.5192 0.2452
0.6370 0.8057 0.4370
0.0131 0.9233 0.1263
0.0357 0.1763 0.6642
0.9574 0.2254 0.9294
0.4072 0.4809 0.0296
0.3712 0.3939 0.8083
0.0246 0.2737 0.4887
0.9434 0.3893 0.2476
0.0250 0.0812 0.2765
0.8748 0.6077 0.1900
0.5376 0.8257 0.3378
0.4611 0.7711 0.0713
0.5199 0.0834 0.8702
0.5288 0.7285 0.5136
0.4417 0.6119 0.7505
0.5259 0.9191 0.7253
0.7413 0.7963 0.1890
0.2369 0.2035 0.8097
0.7218 0.7362 0.6705
0.2187 0.2659 0.3291